Below is GdYCo4 after structural relaxation, with properties calculated at the r2SCAN level.

Calculated values
Uncorrected energy (eV per atom): -19.5309
Theoretical density (g/cm3): 8.609

abc: 7.1907 7.1907 7.1907
angles: 90.00 90.00 90.00
Closest atoms and distances in Å follow each position.
Space group F-43m (No. 216)
Symmetry-distinct sites (fractional):
1 Gd 0.0000 0.0000 0.0000  12 Co 2.98, 4 Y 3.11
2 Y 0.2500 0.2500 0.2500  12 Co 2.98, 4 Gd 3.11
3 Co 0.1250 0.1250 0.6250  6 Co 2.54